Record 1
Computed, not measured: a relaxed structure of Ca5Ge3O11 at the PBE level of DFT.

Cell lengths 7.029, 7.054, 11.142 Å; angles 85.32, 84.53, 77.50 degrees
Space group P-1 (No. 2)
Asymmetric unit:
Ca 0.005 0.031 0.243 x2
Ca 0.075 0.452 0.755 x2
Ca 0.290 0.701 0.004 x2
Ca 0.317 0.675 0.494 x2
Ca 0.459 0.092 0.767 x2
Ge 0.194 0.184 0.464 x2
Ge 0.207 0.214 0.016 x2
Ge 0.454 0.429 0.267 x2
O 0.011 0.688 0.895 x2
O 0.025 0.712 0.606 x2
O 0.133 0.152 0.876 x2
O 0.163 0.158 0.621 x2
O 0.247 0.580 0.211 x2
O 0.285 0.967 0.388 x2
O 0.294 0.993 0.103 x2
O 0.365 0.343 0.425 x2
O 0.373 0.362 0.963 x2
O 0.400 0.777 0.795 x2
O 0.409 0.426 0.670 x2

## Properties
* calculated volume: 535.87 Å³ per cell
* energy: -252.15 eV/cell
* ΔE_f: -67.13 kcal/mol of atoms
* total energy after the MP2020 corrections: -267.26 eV per cell

***

Record 2
Computed, not measured: a relaxed structure of TeC4Cl2F6 at the PBE level of DFT.

Cell lengths 9.852, 11.240, 9.247 Å; angles 90.00, 106.14, 90.00 degrees
Space group C2/c (No. 15)
Asymmetric unit:
Te 0.000 0.077 0.250 x4
C 0.127 0.210 0.186 x8
C 0.234 0.303 0.794 x8
Cl 0.160 0.088 0.515 x8
F 0.060 0.307 0.115 x8
F 0.155 0.223 0.840 x8
F 0.159 0.395 0.728 x8

## Properties
* calculated volume: 983.62 Å³ per cell
* energy: -260.52 eV/cell
* ΔE_f: -22.45 kcal/mol of atoms
* total energy after the MP2020 corrections: -271.60 eV per cell

***

Record 3
Computed, not measured: a relaxed structure of Ba4LiIr3O12 at the PBE level of DFT.

Cell lengths 30.629, 5.851, 10.126 Å; angles 90.00, 109.28, 90.00 degrees
Space group C2/m (No. 12)
Asymmetric unit:
Ba 0.042 0.000 0.201 x4
Ba 0.044 0.500 0.721 x4
Ba 0.125 0.500 0.126 x4
Ba 0.128 0.000 0.629 x4
Ba 0.209 0.500 0.878 x4
Ba 0.211 0.000 0.376 x4
Li 0.000 0.500 0.000 x2
Li 0.249 0.500 0.248 x4
Ir 0.000 0.000 0.500 x2
Ir 0.077 0.500 0.413 x4
Ir 0.080 0.000 0.911 x4
Ir 0.170 0.000 0.003 x4
Ir 0.171 0.500 0.505 x4
O 0.040 0.500 0.217 x4
O 0.041 0.239 0.459 x8
O 0.042 0.000 0.702 x4
O 0.042 0.238 0.951 x8
O 0.122 0.274 0.384 x8
O 0.123 0.000 0.109 x4
O 0.125 0.235 0.879 x8
O 0.125 0.500 0.612 x4
O 0.206 0.500 0.380 x4
O 0.207 0.237 0.121 x8
O 0.208 0.000 0.884 x4
O 0.208 0.261 0.620 x8

## Properties
* calculated volume: 1713.00 Å³ per cell
* energy: -779.40 eV/cell
* ΔE_f: -49.20 kcal/mol of atoms
* total energy after the MP2020 corrections: -828.87 eV per cell